The following is a DFT calculation (PBE with a Hubbard U) of an optimized crystal structure of Li6NbV3P6O24.

Lattice parameters (Å, degrees): 8.6971 8.7063 8.7080 61.92 61.83 61.69
Positions (direct):
Li 0.9712 0.0000 0.9915
Li 0.2551 0.6458 0.8467
Li 0.5256 0.5016 0.4954
Li 0.7046 0.3473 0.1605
Li 0.3466 0.1645 0.7027
Li 0.1628 0.7049 0.3474
Nb 0.1466 0.1490 0.1491
V 0.8582 0.8601 0.8530
V 0.6420 0.6463 0.6387
V 0.3541 0.3524 0.3516
P 0.9454 0.5626 0.2521
P 0.5586 0.2525 0.9443
P 0.2513 0.9491 0.5582
P 0.7508 0.0412 0.4610
P 0.4598 0.7491 0.0360
P 0.0427 0.4670 0.7511
O 0.8707 0.5053 0.7160
O 0.7006 0.8827 0.4883
O 0.9333 0.7414 0.0859
O 0.4688 0.7039 0.8792
O 0.7596 0.5694 0.4104
O 0.9919 0.3953 0.1938
O 0.7427 0.0950 0.9140
O 0.5462 0.4198 0.7664
O 0.4043 0.7571 0.5705
O 0.8227 0.9991 0.6097
O 0.9034 0.0781 0.2637
O 0.6216 0.8056 0.9859
O 0.3921 0.1909 0.9956
O 0.0981 0.9192 0.7480
O 0.1895 0.9937 0.3958
O 0.5894 0.2285 0.4483
O 0.4485 0.5873 0.2205
O 0.2682 0.9063 0.0758
O 0.0258 0.6156 0.8128
O 0.2241 0.4486 0.5857
O 0.5382 0.3031 0.1002
O 0.0761 0.2718 0.9044
O 0.3080 0.1017 0.5333
O 0.1011 0.5360 0.3074

- space group = P1

=====

The following is a DFT calculation (PBE with a Hubbard U) of an optimized crystal structure of Li4Nb3V3Sn2O16.

Lattice parameters (Å, degrees): 6.0949 6.0532 10.1455 90.00 89.74 119.77
Positions (direct):
Li 0.3346 0.6673 0.9035
Li 0.0075 0.0038 0.9908
Li 0.0110 0.0055 0.4910
Li 0.6723 0.3361 0.3909
Nb 0.6627 0.8314 0.2172
Nb 0.8213 0.6405 0.7135
Nb 0.8213 0.1809 0.7135
V 0.1716 0.8205 0.2128
V 0.1716 0.3511 0.2128
V 0.3488 0.1744 0.7132
Sn 0.3238 0.6619 0.4901
Sn 0.6489 0.3245 0.9964
O 0.1544 0.8318 0.5989
O 0.0399 0.5198 0.3444
O 0.3551 0.6774 0.1001
O 0.9980 0.9991 0.3075
O 0.9961 0.9980 0.8067
O 0.1543 0.3225 0.5989
O 0.4929 0.9664 0.3410
O 0.4929 0.5265 0.3410
O 0.3128 0.1565 0.0981
O 0.6692 0.8346 0.5969
O 0.5260 0.4958 0.8440
O 0.5260 0.0302 0.8440
O 0.6647 0.3324 0.5854
O 0.8270 0.6706 0.1021
O 0.9681 0.4841 0.8511
O 0.8270 0.1565 0.1021

- space group = Cm

=====

The following is a DFT calculation (PBE with a Hubbard U) of an optimized crystal structure of Li4Ti3Nb2V3O16.

Lattice parameters (Å, degrees): 6.0394 6.0394 9.8430 89.99 89.99 59.52
Positions (direct):
Li 0.6640 0.6640 0.9013
Li 0.0004 0.0004 0.9895
Li 0.0040 0.0040 0.4933
Li 0.3329 0.3329 0.4014
Ti 0.8359 0.3454 0.2197
Ti 0.3454 0.8359 0.2197
Ti 0.1757 0.1757 0.7283
Nb 0.6705 0.6705 0.4964
Nb 0.3413 0.3413 0.9942
V 0.8272 0.8272 0.2116
V 0.6523 0.1787 0.7116
V 0.1787 0.6523 0.7116
O 0.8334 0.3407 0.5926
O 0.5193 0.5193 0.3373
O 0.6553 0.6553 0.1045
O 0.0041 0.0041 0.3057
O 0.0059 0.0059 0.8023
O 0.3407 0.8334 0.5926
O 0.9628 0.5051 0.3423
O 0.5051 0.9628 0.3423
O 0.1664 0.1664 0.0976
O 0.8342 0.8342 0.5887
O 0.4722 0.0341 0.8432
O 0.0341 0.4722 0.8432
O 0.3191 0.3191 0.6026
O 0.6672 0.1732 0.0930
O 0.4792 0.4792 0.8486
O 0.1732 0.6672 0.0930

- space group = Cm

=====

The following is a DFT calculation (PBE with a Hubbard U) of an optimized crystal structure of Li4Ti2Nb3V3O16.

Lattice parameters (Å, degrees): 6.0577 6.0577 9.8283 89.63 89.63 59.21
Positions (direct):
Li 0.6676 0.6676 0.9012
Li 0.0043 0.0043 0.9911
Li 0.0084 0.0084 0.4920
Li 0.3348 0.3348 0.3885
Ti 0.6577 0.6577 0.4952
Ti 0.3272 0.3272 0.0003
Nb 0.8267 0.8267 0.2230
Nb 0.6354 0.1823 0.7158
Nb 0.1823 0.6354 0.7158
V 0.8188 0.3496 0.2117
V 0.3496 0.8188 0.2117
V 0.1724 0.1724 0.7116
O 0.8214 0.3402 0.5948
O 0.5250 0.5250 0.3512
O 0.6766 0.6766 0.0978
O 0.9988 0.9988 0.3065
O 0.0012 0.0012 0.8062
O 0.3402 0.8214 0.5948
O 0.9648 0.5230 0.3430
O 0.5230 0.9648 0.3430
O 0.1695 0.1695 0.0927
O 0.8295 0.8295 0.5931
O 0.4885 0.0410 0.8471
O 0.0410 0.4885 0.8471
O 0.3278 0.3278 0.5812
O 0.6569 0.1621 0.0972
O 0.4870 0.4870 0.8571
O 0.1621 0.6569 0.0972

- space group = Cm

=====

The following is a DFT calculation (PBE with a Hubbard U) of an optimized crystal structure of Li4Nb5V3O16.

Lattice parameters (Å, degrees): 6.0857 6.0857 10.0685 89.86 89.86 59.63
Positions (direct):
Li 0.6675 0.6675 0.0928
Li 0.0002 0.0002 0.0128
Li 0.0040 0.0040 0.5086
Li 0.3334 0.3334 0.6083
Nb 0.6559 0.6559 0.5062
Nb 0.8231 0.8231 0.7769
Nb 0.3268 0.3268 0.0023
Nb 0.1895 0.6265 0.2859
Nb 0.6265 0.1895 0.2859
V 0.3404 0.8296 0.7881
V 0.8296 0.3404 0.7881
V 0.1735 0.1735 0.2862
O 0.3368 0.8288 0.4052
O 0.5251 0.5251 0.6467
O 0.6759 0.6759 0.9009
O 0.9938 0.9938 0.6914
O 0.0006 0.0006 0.1961
O 0.8288 0.3368 0.4052
O 0.5245 0.9649 0.6547
O 0.9649 0.5245 0.6547
O 0.1679 0.1679 0.9107
O 0.8298 0.8298 0.4084
O 0.0404 0.4867 0.1535
O 0.4867 0.0404 0.1535
O 0.3230 0.3230 0.4205
O 0.1580 0.6606 0.9032
O 0.4865 0.4865 0.1424
O 0.6606 0.1580 0.9032

- space group = Cm

=====

The following is a DFT calculation (PBE with a Hubbard U) of an optimized crystal structure of Li5Nb2V3O10.

Lattice parameters (Å, degrees): 5.2400 7.9199 10.5172 107.55 79.01 108.12
Positions (direct):
Li 0.4999 0.5000 0.5000
Li 0.5001 0.5000 0.0000
Li 0.2285 0.4036 0.2411
Li 0.2284 0.4037 0.7411
Li 0.7716 0.5963 0.7589
Li 0.7715 0.5964 0.2589
Li 0.3958 0.7861 0.7444
Li 0.3961 0.7862 0.2445
Li 0.6039 0.2138 0.2555
Li 0.6042 0.2139 0.7556
Nb 0.0911 0.6766 0.4958
Nb 0.0913 0.6767 0.9958
Nb 0.9087 0.3233 0.5042
Nb 0.9089 0.3234 0.0042
V 0.0000 0.0000 0.2500
V 0.6941 0.9014 0.5025
V 0.3060 0.0986 0.9975
V 0.0000 0.0000 0.7500
V 0.6939 0.9014 0.0024
V 0.3060 0.0986 0.4976
O 0.0494 0.8548 0.8755
O 0.0493 0.8548 0.3755
O 0.9507 0.1452 0.1245
O 0.9506 0.1452 0.6245
O 0.3282 0.9377 0.6254
O 0.3284 0.9379 0.1255
O 0.6716 0.0621 0.3745
O 0.6718 0.0623 0.8746
O 0.1609 0.5460 0.6261
O 0.1611 0.5461 0.1260
O 0.8389 0.4539 0.3740
O 0.8391 0.4540 0.8739
O 0.2275 0.2464 0.3745
O 0.2277 0.2465 0.8744
O 0.7723 0.7535 0.6256
O 0.7725 0.7536 0.1255
O 0.4318 0.6556 0.3833
O 0.4321 0.6557 0.8833
O 0.5679 0.3443 0.6167
O 0.5682 0.3444 0.1167

=====

The following is a DFT calculation (PBE with a Hubbard U) of an optimized crystal structure of Li3NbV2O6.

Lattice parameters (Å, degrees): 5.9809 6.1774 6.7451 104.34 102.74 90.29
Positions (direct):
Li 0.8352 0.8350 0.3335
Li 0.3318 0.8329 0.3336
Li 0.9975 0.5077 0.9959
Li 0.5009 0.5185 0.9895
Li 0.1692 0.1587 0.6711
Li 0.6656 0.1475 0.6773
Nb 0.8064 0.3332 0.3319
Nb 0.3601 0.3336 0.3346
V 0.9973 0.9910 0.9964
V 0.6656 0.6667 0.6614
V 0.5011 0.9995 0.0052
V 0.1698 0.6755 0.6704
O 0.7562 0.2465 0.0110
O 0.2442 0.2403 0.0138
O 0.9228 0.4267 0.6527
O 0.4108 0.4196 0.6554
O 0.9224 0.9140 0.6804
O 0.4114 0.9055 0.6761
O 0.2436 0.7530 0.9864
O 0.7548 0.7604 0.9902
O 0.0887 0.5737 0.3478
O 0.5815 0.5988 0.3254
O 0.0778 0.0932 0.3189
O 0.5851 0.0683 0.3412

- space group = P-1
- energy relative to the lowest polymorph listed for this composition (eV per formula unit) = 0.01

=====

The following is a DFT calculation (PBE with a Hubbard U) of an optimized crystal structure of Li2NbV3O8.

Lattice parameters (Å, degrees): 8.5908 8.5908 8.5908 90.00 90.00 90.00
Positions (direct):
Li 0.9999 0.9999 0.9999
Li 0.2501 0.2501 0.2501
Li 0.2499 0.7499 0.7501
Li 0.5001 0.0001 0.4999
Li 0.4999 0.5001 0.0001
Li 0.7501 0.2499 0.7499
Li 0.7499 0.7501 0.2499
Li 0.0001 0.4999 0.5001
Nb 0.1250 0.8750 0.3750
Nb 0.3750 0.1250 0.8750
Nb 0.6250 0.6250 0.6250
Nb 0.8750 0.3750 0.1250
V 0.1202 0.1298 0.6250
V 0.1250 0.3798 0.8702
V 0.1298 0.6250 0.1202
V 0.3702 0.3750 0.6202
V 0.3750 0.6202 0.3702
V 0.3798 0.8702 0.1250
V 0.6202 0.3702 0.3750
V 0.6250 0.1202 0.1298
V 0.6298 0.8750 0.8798
V 0.8702 0.1250 0.3798
V 0.8750 0.8798 0.6298
V 0.8798 0.6298 0.8750
O 0.1104 0.1107 0.3809
O 0.1191 0.8896 0.6107
O 0.1138 0.6138 0.8862
O 0.1393 0.1396 0.8691
O 0.1107 0.3809 0.1104
O 0.1362 0.3638 0.6362
O 0.1309 0.6393 0.3604
O 0.1396 0.8691 0.1393
O 0.3604 0.1309 0.6393
O 0.3691 0.3607 0.8604
O 0.3638 0.6362 0.1362
O 0.3893 0.6191 0.6104
O 0.3607 0.8604 0.3691
O 0.3862 0.3862 0.3862
O 0.3809 0.1104 0.1107
O 0.3896 0.8893 0.8809
O 0.6104 0.3893 0.6191
O 0.6191 0.6104 0.3893
O 0.6138 0.8862 0.1138
O 0.6393 0.3604 0.1309
O 0.6107 0.1191 0.8896
O 0.6362 0.1362 0.3638
O 0.6309 0.8607 0.6396
O 0.6396 0.6309 0.8607
O 0.8604 0.3691 0.3607
O 0.8691 0.1393 0.1396
O 0.8638 0.8638 0.8638
O 0.8893 0.8809 0.3896
O 0.8607 0.6396 0.6309
O 0.8862 0.1138 0.6138
O 0.8809 0.3896 0.8893
O 0.8896 0.6107 0.1191

- space group = P4_332
- energy relative to the lowest polymorph listed for this composition (eV per formula unit) = 0.11

=====

Calculated energy of formation from the pure elements, -2.67; -2.50; -2.88; -2.78; -2.65; -2.50; -2.50; -2.64 eV/atom (same order as the records).